A plane-wave DFT calculation with PBE-GGA was carried out for Zr5I18 after structural relaxation.

## Properties
- Calculated formation energy: -1.202 eV/atom
- Offset from the most stable computed form: 0.0000 eV per atom
- E (MP2020): -293.4 eV per cell
- Final energy: -3.9559 eV per atom
- Size of the total moment: 0.005 μB/atom

abc: 7.951 70.458 10.473
angles: 40.34 112.16 120.41
Element x y z (fractional)
I 0.691 0.047 0.266
I 0.694 0.382 0.256
I 0.313 0.950 0.761
I 0.996 0.771 0.742
I 0.000 0.118 0.259
Zr 0.996 0.277 0.500
I 0.698 0.494 0.256
I 0.289 0.060 0.744
I 0.695 0.251 0.739
I 0.310 0.618 0.746
I 0.996 0.229 0.233
I 0.700 0.361 0.751
Zr 0.993 0.222 0.996
Zr 0.005 0.667 0.004
I 0.696 0.472 0.751
I 0.305 0.396 0.744
I 0.696 0.604 0.266
Zr 0.998 0.332 0.007
I 0.997 0.437 0.757
I 0.302 0.286 0.734
Zr 0.999 0.060 0.454
Zr 0.001 0.557 0.986
I 0.308 0.973 0.235
I 0.305 0.507 0.745
Zr 0.999 0.829 0.545
I 0.719 0.028 0.750
I 0.001 0.996 0.752
I 0.693 0.915 0.765
I 0.700 0.162 0.247
Zr 0.991 0.160 0.557
I 0.306 0.842 0.735
I 0.314 0.748 0.270
I 0.683 0.141 0.731
Zr 0.998 0.894 0.953
I 0.997 0.548 0.757
Zr 0.999 0.499 0.508
I 0.691 0.271 0.253
Zr 0.005 0.729 0.442
I 0.004 0.008 0.234
I 0.002 0.341 0.241
I 0.298 0.727 0.752
I 0.997 0.660 0.767
I 0.001 0.451 0.245
I 0.687 0.938 0.241
I 0.710 0.828 0.256
I 0.280 0.861 0.252
Zr 0.003 0.611 0.503
I 0.287 0.196 0.240
I 0.695 0.583 0.752
I 0.996 0.216 0.747
I 0.712 0.694 0.760
I 0.298 0.528 0.250
I 0.301 0.417 0.248
I 0.006 0.673 0.254
Zr 0.003 0.995 0.047
I 0.312 0.083 0.259
I 0.693 0.713 0.272
I 0.001 0.562 0.243
I 0.685 0.806 0.738
Zr 0.000 0.389 0.502
I 0.994 0.105 0.738
I 0.001 0.783 0.262
I 0.999 0.894 0.246
I 0.000 0.881 0.764
I 0.996 0.326 0.755
Zr 0.998 0.445 0.996
I 0.301 0.637 0.261
I 0.305 0.176 0.725
I 0.302 0.306 0.247